# Na3Cd (PBE-GGA, relaxed)
# symmetry	I4/mmm
data_Na3Cd
_chemical_formula_sum 'Na6 Cd2'
_cell_length_a 4.8461
_cell_length_b 4.8461
_cell_length_c 10.3644
_cell_angle_alpha 90.00
_cell_angle_beta 90.00
_cell_angle_gamma 90.00
_symmetry_space_group_name_H-M 'P 1'
_symmetry_Int_Tables_number 1
_symmetry_space_group_name_Hall 'P 1'
loop_
_atom_site_label
_atom_site_fract_x
_atom_site_fract_y
_atom_site_fract_z
Na1 0.0000 0.0000 0.0000
Na2 0.0000 0.5000 0.2500
Na3 0.0000 0.5000 0.7500
Na4 0.5000 0.0000 0.2500
Na5 0.5000 0.0000 0.7500
Na6 0.5000 0.5000 0.5000
Cd1 0.0000 0.0000 0.5000
Cd2 0.5000 0.5000 0.0000

# NaCdO2 (PBE-GGA, relaxed)
# symmetry	R-3m
data_NaCdO2
_chemical_formula_sum 'Na3 Cd3 O6'
_cell_length_a 3.3577
_cell_length_b 3.3577
_cell_length_c 16.5476
_cell_angle_alpha 90.00
_cell_angle_beta 90.00
_cell_angle_gamma 120.00
_symmetry_space_group_name_H-M 'P 1'
_symmetry_Int_Tables_number 1
_symmetry_space_group_name_Hall 'P 1'
loop_
_atom_site_label
_atom_site_fract_x
_atom_site_fract_y
_atom_site_fract_z
Na1 0.0000 0.0000 0.0000
Na2 0.3333 0.6667 0.6667
Na3 0.6667 0.3333 0.3333
Cd1 0.0000 0.0000 0.5000
Cd2 0.3333 0.6667 0.1667
Cd3 0.6667 0.3333 0.8333
O1 0.0000 0.0000 0.2418
O2 0.0000 0.0000 0.7582
O3 0.3333 0.6667 0.4248
O4 0.3333 0.6667 0.9085
O5 0.6667 0.3333 0.0915
O6 0.6667 0.3333 0.5752

# NaCdPO4 (PBE-GGA, relaxed)
# symmetry	Pna2_1
data_NaCdPO4
_chemical_formula_sum 'Na4 Cd4 P4 O16'
_cell_length_a 11.0213
_cell_length_b 5.1202
_cell_length_c 6.6069
_cell_angle_alpha 90.00
_cell_angle_beta 90.00
_cell_angle_gamma 90.00
_symmetry_space_group_name_H-M 'P 1'
_symmetry_Int_Tables_number 1
_symmetry_space_group_name_Hall 'P 1'
loop_
_atom_site_label
_atom_site_fract_x
_atom_site_fract_y
_atom_site_fract_z
Na1 0.0054 0.0015 0.0000
Na2 0.4946 0.5015 0.5000
Na3 0.5054 0.4985 0.0000
Na4 0.9946 0.9985 0.5000
Cd1 0.2140 0.4849 0.2446
Cd2 0.2860 0.9849 0.7446
Cd3 0.7140 0.0151 0.2446
Cd4 0.7860 0.5151 0.7446
P1 0.1036 0.4317 0.7416
P2 0.3964 0.9317 0.2416
P3 0.6036 0.0683 0.7416
P4 0.8964 0.5683 0.2416
O1 0.0285 0.6747 0.2498
O2 0.1066 0.7338 0.7381
O3 0.1671 0.3038 0.5532
O4 0.1739 0.3135 0.9276
O5 0.3261 0.8135 0.4276
O6 0.3329 0.8038 0.0532
O7 0.3934 0.2338 0.2381
O8 0.4715 0.1747 0.7498
O9 0.5285 0.8253 0.2498
O10 0.6066 0.7662 0.7381
O11 0.6671 0.1962 0.5532
O12 0.6739 0.1865 0.9276
O13 0.8261 0.6865 0.4276
O14 0.8329 0.6962 0.0532
O15 0.8934 0.2662 0.2381
O16 0.9715 0.3253 0.7498

# Na3CdRh8O16 (PBE-GGA, relaxed)
# symmetry	Pm
data_Na3CdRh8O16
_chemical_formula_sum 'Na3 Cd1 Rh8 O16'
_cell_length_a 9.1510
_cell_length_b 3.1070
_cell_length_c 10.9475
_cell_angle_alpha 90.00
_cell_angle_beta 90.39
_cell_angle_gamma 90.00
_symmetry_space_group_name_H-M 'P 1'
_symmetry_Int_Tables_number 1
_symmetry_space_group_name_Hall 'P 1'
loop_
_atom_site_label
_atom_site_fract_x
_atom_site_fract_y
_atom_site_fract_z
Na1 0.0000 0.0000 0.0000
Na2 0.0271 0.5000 0.4999
Na3 0.5011 0.0000 0.8157
Cd1 0.5267 0.5000 0.3185
Rh1 0.1750 0.5000 0.7608
Rh2 0.2050 0.5000 0.2735
Rh3 0.3186 0.0000 0.0396
Rh4 0.3505 0.0000 0.5595
Rh5 0.6757 0.5000 0.0537
Rh6 0.7117 0.5000 0.5426
Rh7 0.8195 0.0000 0.7751
Rh8 0.8550 0.0000 0.2570
O1 0.0686 0.0000 0.3182
O2 0.1464 0.0000 0.6374
O3 0.1812 0.5000 0.0874
O4 0.2274 0.0000 0.8699
O5 0.3072 0.5000 0.4441
O6 0.3489 0.0000 0.2265
O7 0.3765 0.5000 0.6821
O8 0.4577 0.5000 0.9965
O9 0.5658 0.0000 0.4923
O10 0.6477 0.0000 0.1827
O11 0.6811 0.5000 0.7281
O12 0.7283 0.0000 0.9448
O13 0.7941 0.5000 0.3661
O14 0.8460 0.0000 0.5910
O15 0.8802 0.5000 0.1342
O16 0.9592 0.5000 0.8177

# NaCd3Rh8O16 (PBE-GGA, relaxed)
# symmetry	Pm
data_NaCd3Rh8O16
_chemical_formula_sum 'Na1 Cd3 Rh8 O16'
_cell_length_a 9.2268
_cell_length_b 3.1181
_cell_length_c 11.0045
_cell_angle_alpha 90.00
_cell_angle_beta 90.25
_cell_angle_gamma 90.00
_symmetry_space_group_name_H-M 'P 1'
_symmetry_Int_Tables_number 1
_symmetry_space_group_name_Hall 'P 1'
loop_
_atom_site_label
_atom_site_fract_x
_atom_site_fract_y
_atom_site_fract_z
Na1 0.0000 0.0000 0.0000
Cd1 0.0288 0.5000 0.5035
Cd2 0.5010 0.0000 0.1799
Cd3 0.5298 0.5000 0.6805
Rh1 0.1712 0.5000 0.2398
Rh2 0.2115 0.5000 0.7262
Rh3 0.3149 0.0000 0.9590
Rh4 0.3565 0.0000 0.4383
Rh5 0.6767 0.5000 0.9411
Rh6 0.7116 0.5000 0.4574
Rh7 0.8217 0.0000 0.2237
Rh8 0.8580 0.0000 0.7448
O1 0.0696 0.0000 0.6789
O2 0.1472 0.0000 0.3702
O3 0.1804 0.5000 0.9106
O4 0.2293 0.0000 0.1324
O5 0.3149 0.5000 0.5534
O6 0.3511 0.0000 0.7738
O7 0.3781 0.5000 0.3108
O8 0.4602 0.5000 0.0069
O9 0.5694 0.0000 0.5050
O10 0.6508 0.0000 0.8113
O11 0.6787 0.5000 0.2707
O12 0.7136 0.0000 0.0565
O13 0.8147 0.5000 0.6287
O14 0.8512 0.0000 0.4103
O15 0.8805 0.5000 0.8672
O16 0.9582 0.5000 0.1809

# NaCdRh4O8 (PBE-GGA, relaxed)
# symmetry	P2_1/m
data_NaCdRh4O8
_chemical_formula_sum 'Na2 Cd2 Rh8 O16'
_cell_length_a 9.1903
_cell_length_b 3.1057
_cell_length_c 10.9605
_cell_angle_alpha 90.00
_cell_angle_beta 90.48
_cell_angle_gamma 90.00
_symmetry_space_group_name_H-M 'P 1'
_symmetry_Int_Tables_number 1
_symmetry_space_group_name_Hall 'P 1'
loop_
_atom_site_label
_atom_site_fract_x
_atom_site_fract_y
_atom_site_fract_z
Na1 0.2362 0.2500 0.1587
Na2 0.7638 0.7500 0.8413
Cd1 0.2628 0.7500 0.6616
Cd2 0.7372 0.2500 0.3384
Rh1 0.0578 0.2500 0.3828
Rh2 0.0878 0.2500 0.9010
Rh3 0.4079 0.7500 0.3994
Rh4 0.4484 0.7500 0.8840
Rh5 0.5516 0.2500 0.1160
Rh6 0.5921 0.2500 0.6006
Rh7 0.9122 0.7500 0.0990
Rh8 0.9422 0.7500 0.6172
O1 0.0452 0.7500 0.7860
O2 0.0856 0.2500 0.5699
O3 0.1140 0.7500 0.0236
O4 0.1940 0.7500 0.3385
O5 0.3029 0.2500 0.8358
O6 0.3834 0.2500 0.5285
O7 0.4167 0.7500 0.0684
O8 0.4658 0.2500 0.2909
O9 0.5342 0.7500 0.7091
O10 0.5833 0.2500 0.9316
O11 0.6166 0.7500 0.4715
O12 0.6971 0.7500 0.1642
O13 0.8060 0.2500 0.6615
O14 0.8860 0.2500 0.9764
O15 0.9144 0.7500 0.4301
O16 0.9548 0.2500 0.2140

# Na2CdS2O8 (PBE-GGA, relaxed)
# symmetry	C2/c
data_Na2CdS2O8
_chemical_formula_sum 'Na4 Cd2 S4 O16'
_cell_length_a 6.5968
_cell_length_b 6.5968
_cell_length_c 8.8270
_cell_angle_alpha 108.84
_cell_angle_beta 108.84
_cell_angle_gamma 78.39
_symmetry_space_group_name_H-M 'P 1'
_symmetry_Int_Tables_number 1
_symmetry_space_group_name_Hall 'P 1'
loop_
_atom_site_label
_atom_site_fract_x
_atom_site_fract_y
_atom_site_fract_z
Na1 0.0815 0.1938 0.4392
Na2 0.1938 0.0815 0.9392
Na3 0.8062 0.9185 0.0608
Na4 0.9185 0.8062 0.5608
Cd1 0.4303 0.5697 0.2500
Cd2 0.5697 0.4303 0.7500
S1 0.0992 0.5237 0.8137
S2 0.4763 0.9008 0.6863
S3 0.5237 0.0992 0.3137
S4 0.9008 0.4763 0.1863
O1 0.0163 0.7548 0.8654
O2 0.0768 0.6193 0.2480
O3 0.1919 0.4901 0.6707
O4 0.2452 0.9837 0.6346
O5 0.2714 0.4550 0.9504
O6 0.3807 0.9232 0.2520
O7 0.4550 0.2714 0.4504
O8 0.4901 0.1919 0.1707
O9 0.5099 0.8081 0.8293
O10 0.5450 0.7286 0.5496
O11 0.6193 0.0768 0.7480
O12 0.7286 0.5450 0.0496
O13 0.7548 0.0163 0.3654
O14 0.8081 0.5099 0.3293
O15 0.9232 0.3807 0.7520
O16 0.9837 0.2452 0.1346

# Na4Cd2Si3O10 (PBE-GGA, relaxed)
# symmetry	C2/c
data_Na4Cd2Si3O10
_chemical_formula_sum 'Na8 Cd4 Si6 O20'
_cell_length_a 5.8295
_cell_length_b 5.8295
_cell_length_c 17.9061
_cell_angle_alpha 98.46
_cell_angle_beta 98.46
_cell_angle_gamma 61.08
_symmetry_space_group_name_H-M 'P 1'
_symmetry_Int_Tables_number 1
_symmetry_space_group_name_Hall 'P 1'
loop_
_atom_site_label
_atom_site_fract_x
_atom_site_fract_y
_atom_site_fract_z
Na1 0.0681 0.2789 0.2436
Na2 0.1834 0.3246 0.5601
Na3 0.2789 0.0681 0.7436
Na4 0.3246 0.1834 0.0601
Na5 0.6754 0.8166 0.9399
Na6 0.7211 0.9319 0.2564
Na7 0.8166 0.6754 0.4399
Na8 0.9319 0.7211 0.7564
Cd1 0.3040 0.5001 0.9148
Cd2 0.5001 0.3040 0.4148
Cd3 0.4999 0.6960 0.5852
Cd4 0.6960 0.4999 0.0852
Si1 0.0405 0.8299 0.1017
Si2 0.1701 0.9595 0.3983
Si3 0.3811 0.6189 0.2500
Si4 0.6189 0.3811 0.7500
Si5 0.8299 0.0405 0.6017
Si6 0.9595 0.1701 0.8983
O1 0.0411 0.1132 0.1155
O2 0.1132 0.0411 0.6155
O3 0.1155 0.7050 0.1871
O4 0.1460 0.2494 0.4275
O5 0.2494 0.1460 0.9275
O6 0.2702 0.6083 0.0478
O7 0.2950 0.8845 0.3129
O8 0.3648 0.4162 0.7868
O9 0.3917 0.7298 0.4522
O10 0.4162 0.3648 0.2868
O11 0.5838 0.6352 0.7132
O12 0.6083 0.2702 0.5478
O13 0.6352 0.5838 0.2132
O14 0.7050 0.1155 0.6871
O15 0.7298 0.3917 0.9522
O16 0.7506 0.8540 0.0725
O17 0.8540 0.7506 0.5725
O18 0.8845 0.2950 0.8129
O19 0.8868 0.9589 0.3845
O20 0.9589 0.8868 0.8845

Number 1: total energy -0.092 Ry per atom, formation energy from the elements -31 meV/atom. Number 2: total energy -0.294 Ry per atom, formation energy from the elements -1307 meV/atom. Number 3: total energy -0.435 Ry per atom, formation energy from the elements -2396 meV/atom. Number 4: total energy -0.444 Ry per atom, formation energy from the elements -1328 meV/atom. Number 5: total energy -0.433 Ry per atom, formation energy from the elements -1205 meV/atom. Number 6: total energy -0.438 Ry per atom, formation energy from the elements -1267 meV/atom. Number 7: total energy -0.409 Ry per atom, formation energy from the elements -2038 meV/atom. Number 8: total energy -0.442 Ry per atom, formation energy from the elements -2539 meV/atom.